Entry from the Materials Project: a relaxed InH6C3O9 crystal (GGA-PBE).

Calculated values
Energy of formation from the pure elements: -27.9 eV per formula unit

abc: 10.286 6.870 11.215
angles: 90.00 96.12 90.00
Space group P2_1/c (No. 14)
One atom of each set of equivalent atoms:
In (0.238, 0.154, 0.026)
H (0.098, 0.689, 0.541)
H (0.144, 0.622, 0.676)
H (0.237, 0.524, 0.918)
H (0.383, 0.079, 0.415)
H (0.409, 0.584, 0.087)
H (0.485, 0.651, 0.214)
C (0.008, 0.166, 0.652)
C (0.128, 0.176, 0.749)
C (0.472, 0.554, 0.443)
O (0.031, 0.222, 0.547)
O (0.101, 0.609, 0.820)
O (0.109, 0.120, 0.853)
O (0.173, 0.630, 0.593)
O (0.234, 0.242, 0.717)
O (0.306, 0.054, 0.466)
O (0.351, 0.543, 0.411)
O (0.448, 0.150, 0.114)
O (0.487, 0.652, 0.126)